[1]
# Sr32Mn32O79 (PBE with a Hubbard U, optimized geometry)
# energy of formation = -2.38 eV per atom
# calculated volume = 14.15 Å³ per atom
data_Sr32Mn32O79
_chemical_formula_sum 'Sr32 Mn32 O79'
_cell_length_a 18.873
_cell_length_b 10.972
_cell_length_c 10.972
_cell_angle_alpha 62.97
_cell_angle_beta 90.00
_cell_angle_gamma 90.00
_symmetry_space_group_name_H-M 'P 1'
_symmetry_Int_Tables_number 1
loop_
_symmetry_equiv_pos_as_xyz
'x,y,z'
loop_
_atom_site_label
_atom_site_type_symbol
_atom_site_fract_x
_atom_site_fract_y
_atom_site_fract_z
Sr1 Sr 0.000 0.152 0.152
Sr2 Sr 0.000 0.173 0.643
Sr3 Sr 0.000 0.643 0.173
Sr4 Sr 0.000 0.653 0.653
Sr5 Sr 0.125 0.497 0.997
Sr6 Sr 0.125 0.997 0.497
Sr7 Sr 0.131 0.498 0.498
Sr8 Sr 0.145 0.000 0.000
Sr9 Sr 0.250 0.339 0.339
Sr10 Sr 0.250 0.342 0.838
Sr11 Sr 0.250 0.838 0.342
Sr12 Sr 0.251 0.837 0.837
Sr13 Sr 0.376 0.498 0.998
Sr14 Sr 0.376 0.998 0.498
Sr15 Sr 0.378 0.498 0.498
Sr16 Sr 0.378 0.998 0.998
Sr17 Sr 0.500 0.157 0.157
Sr18 Sr 0.500 0.157 0.656
Sr19 Sr 0.500 0.656 0.157
Sr20 Sr 0.500 0.657 0.657
Sr21 Sr 0.622 0.498 0.498
Sr22 Sr 0.622 0.998 0.998
Sr23 Sr 0.624 0.498 0.998
Sr24 Sr 0.624 0.998 0.498
Sr25 Sr 0.749 0.837 0.837
Sr26 Sr 0.750 0.339 0.339
Sr27 Sr 0.750 0.342 0.838
Sr28 Sr 0.750 0.838 0.342
Sr29 Sr 0.855 0.000 0.000
Sr30 Sr 0.869 0.498 0.498
Sr31 Sr 0.875 0.497 0.997
Sr32 Sr 0.875 0.997 0.497
Mn1 Mn 0.066 0.333 0.837
Mn2 Mn 0.066 0.335 0.335
Mn3 Mn 0.066 0.837 0.333
Mn4 Mn 0.067 0.835 0.835
Mn5 Mn 0.182 0.159 0.661
Mn6 Mn 0.182 0.661 0.159
Mn7 Mn 0.183 0.660 0.660
Mn8 Mn 0.184 0.161 0.161
Mn9 Mn 0.314 0.158 0.659
Mn10 Mn 0.314 0.659 0.158
Mn11 Mn 0.316 0.160 0.160
Mn12 Mn 0.316 0.659 0.659
Mn13 Mn 0.434 0.337 0.337
Mn14 Mn 0.434 0.337 0.837
Mn15 Mn 0.434 0.837 0.337
Mn16 Mn 0.434 0.837 0.837
Mn17 Mn 0.566 0.337 0.337
Mn18 Mn 0.566 0.337 0.837
Mn19 Mn 0.566 0.837 0.337
Mn20 Mn 0.566 0.837 0.837
Mn21 Mn 0.684 0.160 0.160
Mn22 Mn 0.684 0.659 0.659
Mn23 Mn 0.686 0.158 0.659
Mn24 Mn 0.686 0.659 0.158
Mn25 Mn 0.816 0.161 0.161
Mn26 Mn 0.817 0.660 0.660
Mn27 Mn 0.818 0.159 0.661
Mn28 Mn 0.818 0.661 0.159
Mn29 Mn 0.933 0.835 0.835
Mn30 Mn 0.934 0.333 0.837
Mn31 Mn 0.934 0.335 0.335
Mn32 Mn 0.934 0.837 0.333
O1 O 0.000 0.175 0.896
O2 O 0.000 0.180 0.399
O3 O 0.000 0.399 0.180
O4 O 0.000 0.399 0.682
O5 O 0.000 0.418 0.922
O6 O 0.000 0.421 0.421
O7 O 0.000 0.682 0.399
O8 O 0.000 0.686 0.907
O9 O 0.000 0.896 0.175
O10 O 0.000 0.907 0.686
O11 O 0.000 0.922 0.418
O12 O 0.118 0.005 0.759
O13 O 0.118 0.759 0.005
O14 O 0.124 0.247 0.498
O15 O 0.124 0.498 0.247
O16 O 0.125 0.497 0.748
O17 O 0.125 0.748 0.497
O18 O 0.126 0.248 0.998
O19 O 0.126 0.998 0.248
O20 O 0.247 0.069 0.580
O21 O 0.247 0.580 0.069
O22 O 0.248 0.095 0.816
O23 O 0.248 0.314 0.596
O24 O 0.248 0.596 0.314
O25 O 0.248 0.816 0.095
O26 O 0.250 0.097 0.316
O27 O 0.250 0.316 0.097
O28 O 0.250 0.574 0.574
O29 O 0.250 0.596 0.815
O30 O 0.250 0.815 0.596
O31 O 0.251 0.075 0.075
O32 O 0.374 0.248 0.499
O33 O 0.374 0.499 0.248
O34 O 0.374 0.748 0.998
O35 O 0.374 0.998 0.748
O36 O 0.375 0.248 0.998
O37 O 0.375 0.497 0.747
O38 O 0.375 0.747 0.497
O39 O 0.375 0.998 0.248
O40 O 0.500 0.180 0.401
O41 O 0.500 0.181 0.901
O42 O 0.500 0.400 0.681
O43 O 0.500 0.401 0.180
O44 O 0.500 0.422 0.422
O45 O 0.500 0.422 0.921
O46 O 0.500 0.681 0.400
O47 O 0.500 0.681 0.900
O48 O 0.500 0.900 0.681
O49 O 0.500 0.901 0.181
O50 O 0.500 0.921 0.422
O51 O 0.500 0.922 0.922
O52 O 0.625 0.248 0.998
O53 O 0.625 0.497 0.747
O54 O 0.625 0.747 0.497
O55 O 0.625 0.998 0.248
O56 O 0.626 0.248 0.499
O57 O 0.626 0.499 0.248
O58 O 0.626 0.748 0.998
O59 O 0.626 0.998 0.748
O60 O 0.749 0.075 0.075
O61 O 0.750 0.097 0.316
O62 O 0.750 0.316 0.097
O63 O 0.750 0.574 0.574
O64 O 0.750 0.596 0.815
O65 O 0.750 0.815 0.596
O66 O 0.752 0.095 0.816
O67 O 0.752 0.314 0.596
O68 O 0.752 0.596 0.314
O69 O 0.752 0.816 0.095
O70 O 0.753 0.069 0.580
O71 O 0.753 0.580 0.069
O72 O 0.874 0.248 0.998
O73 O 0.874 0.998 0.248
O74 O 0.875 0.497 0.748
O75 O 0.875 0.748 0.497
O76 O 0.876 0.247 0.498
O77 O 0.876 0.498 0.247
O78 O 0.882 0.005 0.759
O79 O 0.882 0.759 0.005

[2]
# SrMn7O12 (PBE with a Hubbard U, optimized geometry)
# energy of formation = -2.13 eV per atom
# calculated volume = 10.73 Å³ per atom
data_SrMn7O12
_chemical_formula_sum 'Sr1 Mn7 O12'
_cell_length_a 6.532
_cell_length_b 6.532
_cell_length_c 6.532
_cell_angle_alpha 109.47
_cell_angle_beta 109.47
_cell_angle_gamma 109.47
_symmetry_space_group_name_H-M 'P 1'
_symmetry_Int_Tables_number 1
loop_
_symmetry_equiv_pos_as_xyz
'x,y,z'
loop_
_atom_site_label
_atom_site_type_symbol
_atom_site_fract_x
_atom_site_fract_y
_atom_site_fract_z
Sr1 Sr 0.000 0.000 0.000
Mn1 Mn 0.000 0.000 0.500
Mn2 Mn 0.000 0.500 0.000
Mn3 Mn 0.000 0.500 0.500
Mn4 Mn 0.500 0.000 0.000
Mn5 Mn 0.500 0.000 0.500
Mn6 Mn 0.500 0.500 0.000
Mn7 Mn 0.500 0.500 0.500
O1 O 0.131 0.311 0.820
O2 O 0.180 0.491 0.311
O3 O 0.180 0.869 0.689
O4 O 0.311 0.180 0.491
O5 O 0.311 0.820 0.131
O6 O 0.491 0.311 0.180
O7 O 0.509 0.689 0.820
O8 O 0.689 0.180 0.869
O9 O 0.689 0.820 0.509
O10 O 0.820 0.131 0.311
O11 O 0.820 0.509 0.689
O12 O 0.869 0.689 0.180

[3]
# Sr5Mn5O13 (PBE with a Hubbard U, optimized geometry)
# ΔE to the lowest computed polymorph = 0 meV/atom
# energy of formation = -2.56 eV per atom
# calculated volume = 12.97 Å³ per atom
data_Sr5Mn5O13
_chemical_formula_sum 'Sr5 Mn5 O13'
_cell_length_a 8.781
_cell_length_b 8.781
_cell_length_c 3.870
_cell_angle_alpha 90.00
_cell_angle_beta 90.00
_cell_angle_gamma 90.00
_symmetry_space_group_name_H-M 'P 1'
_symmetry_Int_Tables_number 1
loop_
_symmetry_equiv_pos_as_xyz
'x,y,z'
loop_
_atom_site_label
_atom_site_type_symbol
_atom_site_fract_x
_atom_site_fract_y
_atom_site_fract_z
Sr1 Sr 0.000 0.000 0.000
Sr2 Sr 0.218 0.612 0.000
Sr3 Sr 0.388 0.218 0.000
Sr4 Sr 0.612 0.782 0.000
Sr5 Sr 0.782 0.388 0.000
Mn1 Mn 0.100 0.302 0.500
Mn2 Mn 0.302 0.900 0.500
Mn3 Mn 0.500 0.500 0.500
Mn4 Mn 0.698 0.100 0.500
Mn5 Mn 0.900 0.698 0.500
O1 O 0.084 0.337 0.000
O2 O 0.098 0.788 0.500
O3 O 0.212 0.098 0.500
O4 O 0.288 0.427 0.500
O5 O 0.337 0.916 0.000
O6 O 0.427 0.712 0.500
O7 O 0.500 0.500 0.000
O8 O 0.573 0.288 0.500
O9 O 0.663 0.084 0.000
O10 O 0.712 0.573 0.500
O11 O 0.788 0.902 0.500
O12 O 0.902 0.212 0.500
O13 O 0.916 0.663 0.000

[4]
# Sr5Mn5O13 (PBE with a Hubbard U, optimized geometry)
# ΔE to the lowest computed polymorph = 2 meV/atom
# energy of formation = -2.55 eV per atom
# calculated volume = 12.91 Å³ per atom
data_Sr5Mn5O13
_chemical_formula_sum 'Sr10 Mn10 O26'
_cell_length_a 9.576
_cell_length_b 9.576
_cell_length_c 8.738
_cell_angle_alpha 90.11
_cell_angle_beta 90.11
_cell_angle_gamma 47.85
_symmetry_space_group_name_H-M 'P 1'
_symmetry_Int_Tables_number 1
loop_
_symmetry_equiv_pos_as_xyz
'x,y,z'
loop_
_atom_site_label
_atom_site_type_symbol
_atom_site_fract_x
_atom_site_fract_y
_atom_site_fract_z
Sr1 Sr 0.051 0.551 0.168
Sr2 Sr 0.167 0.666 0.604
Sr3 Sr 0.249 0.751 0.000
Sr4 Sr 0.358 0.859 0.385
Sr5 Sr 0.467 0.968 0.772
Sr6 Sr 0.551 0.051 0.168
Sr7 Sr 0.666 0.167 0.604
Sr8 Sr 0.751 0.249 0.000
Sr9 Sr 0.859 0.358 0.385
Sr10 Sr 0.968 0.467 0.772
Mn1 Mn 0.059 0.059 0.691
Mn2 Mn 0.158 0.158 0.080
Mn3 Mn 0.261 0.261 0.486
Mn4 Mn 0.359 0.359 0.886
Mn5 Mn 0.457 0.457 0.285
Mn6 Mn 0.559 0.559 0.691
Mn7 Mn 0.658 0.658 0.081
Mn8 Mn 0.761 0.761 0.486
Mn9 Mn 0.859 0.859 0.886
Mn10 Mn 0.956 0.956 0.285
O1 O 0.028 0.530 0.472
O2 O 0.060 0.060 0.171
O3 O 0.109 0.609 0.886
O4 O 0.157 0.157 0.603
O5 O 0.193 0.693 0.295
O6 O 0.215 0.215 0.289
O7 O 0.253 0.253 0.958
O8 O 0.314 0.815 0.720
O9 O 0.323 0.323 0.676
O10 O 0.393 0.393 0.100
O11 O 0.402 0.903 0.052
O12 O 0.464 0.464 0.816
O13 O 0.499 0.499 0.483
O14 O 0.530 0.028 0.472
O15 O 0.559 0.559 0.171
O16 O 0.609 0.109 0.886
O17 O 0.658 0.658 0.600
O18 O 0.693 0.193 0.295
O19 O 0.717 0.717 0.289
O20 O 0.752 0.752 0.956
O21 O 0.815 0.314 0.720
O22 O 0.823 0.823 0.674
O23 O 0.894 0.894 0.098
O24 O 0.903 0.402 0.052
O25 O 0.966 0.966 0.816
O26 O 0.999 0.999 0.483

[5]
# SrMn7O12 (PBE with a Hubbard U, optimized geometry)
# energy of formation = -2.13 eV per atom
# calculated volume = 10.70 Å³ per atom
data_SrMn7O12
_chemical_formula_sum 'Sr1 Mn7 O12'
_cell_length_a 6.537
_cell_length_b 6.537
_cell_length_c 6.537
_cell_angle_alpha 109.61
_cell_angle_beta 109.61
_cell_angle_gamma 109.61
_symmetry_space_group_name_H-M 'P 1'
_symmetry_Int_Tables_number 1
loop_
_symmetry_equiv_pos_as_xyz
'x,y,z'
loop_
_atom_site_label
_atom_site_type_symbol
_atom_site_fract_x
_atom_site_fract_y
_atom_site_fract_z
Sr1 Sr 0.000 0.000 0.000
Mn1 Mn 0.000 0.000 0.500
Mn2 Mn 0.000 0.500 0.000
Mn3 Mn 0.000 0.500 0.500
Mn4 Mn 0.500 0.000 0.000
Mn5 Mn 0.500 0.000 0.500
Mn6 Mn 0.500 0.500 0.000
Mn7 Mn 0.500 0.500 0.500
O1 O 0.131 0.305 0.809
O2 O 0.183 0.486 0.317
O3 O 0.191 0.869 0.695
O4 O 0.305 0.809 0.131
O5 O 0.317 0.183 0.486
O6 O 0.486 0.317 0.183
O7 O 0.514 0.683 0.817
O8 O 0.683 0.817 0.514
O9 O 0.695 0.191 0.869
O10 O 0.809 0.131 0.305
O11 O 0.817 0.514 0.683
O12 O 0.869 0.695 0.191

[6]
# Sr4Mn3O10 (PBE with a Hubbard U, optimized geometry)
# ΔE to the lowest computed polymorph = 0 meV/atom
# energy of formation = -2.59 eV per atom
# calculated volume = 13.21 Å³ per atom
data_Sr4Mn3O10
_chemical_formula_sum 'Sr8 Mn6 O20'
_cell_length_a 6.863
_cell_length_b 6.863
_cell_length_c 12.892
_cell_angle_alpha 90.00
_cell_angle_beta 90.00
_cell_angle_gamma 132.31
_symmetry_space_group_name_H-M 'P 1'
_symmetry_Int_Tables_number 1
loop_
_symmetry_equiv_pos_as_xyz
'x,y,z'
loop_
_atom_site_label
_atom_site_type_symbol
_atom_site_fract_x
_atom_site_fract_y
_atom_site_fract_z
Sr1 Sr 0.029 0.971 0.856
Sr2 Sr 0.237 0.763 0.612
Sr3 Sr 0.263 0.737 0.112
Sr4 Sr 0.471 0.529 0.356
Sr5 Sr 0.529 0.471 0.644
Sr6 Sr 0.737 0.263 0.888
Sr7 Sr 0.763 0.237 0.388
Sr8 Sr 0.971 0.029 0.144
Mn1 Mn 0.000 0.000 0.500
Mn2 Mn 0.133 0.867 0.348
Mn3 Mn 0.367 0.633 0.848
Mn4 Mn 0.500 0.500 0.000
Mn5 Mn 0.633 0.367 0.152
Mn6 Mn 0.867 0.133 0.652
O1 O 0.037 0.963 0.645
O2 O 0.120 0.339 0.538
O3 O 0.134 0.366 0.750
O4 O 0.161 0.380 0.962
O5 O 0.223 0.777 0.847
O6 O 0.277 0.723 0.347
O7 O 0.339 0.120 0.462
O8 O 0.366 0.134 0.250
O9 O 0.380 0.161 0.038
O10 O 0.463 0.537 0.145
O11 O 0.537 0.463 0.855
O12 O 0.620 0.839 0.962
O13 O 0.634 0.866 0.750
O14 O 0.661 0.880 0.538
O15 O 0.723 0.277 0.653
O16 O 0.777 0.223 0.153
O17 O 0.839 0.620 0.038
O18 O 0.866 0.634 0.250
O19 O 0.880 0.661 0.462
O20 O 0.963 0.037 0.355

[7]
# Sr7Mn4O15 (PBE with a Hubbard U, optimized geometry)
# energy of formation = -2.67 eV per atom
# calculated volume = 13.71 Å³ per atom
data_Sr7Mn4O15
_chemical_formula_sum 'Sr14 Mn8 O30'
_cell_length_a 6.894
_cell_length_b 9.770
_cell_length_c 10.589
_cell_angle_alpha 90.00
_cell_angle_beta 91.60
_cell_angle_gamma 90.00
_symmetry_space_group_name_H-M 'P 1'
_symmetry_Int_Tables_number 1
loop_
_symmetry_equiv_pos_as_xyz
'x,y,z'
loop_
_atom_site_label
_atom_site_type_symbol
_atom_site_fract_x
_atom_site_fract_y
_atom_site_fract_z
Sr1 Sr 0.000 0.063 0.000
Sr2 Sr 0.000 0.937 0.500
Sr3 Sr 0.003 0.435 0.072
Sr4 Sr 0.003 0.565 0.572
Sr5 Sr 0.180 0.251 0.370
Sr6 Sr 0.180 0.749 0.870
Sr7 Sr 0.353 0.101 0.732
Sr8 Sr 0.353 0.899 0.232
Sr9 Sr 0.500 0.244 0.041
Sr10 Sr 0.500 0.756 0.541
Sr11 Sr 0.649 0.402 0.340
Sr12 Sr 0.649 0.598 0.840
Sr13 Sr 0.824 0.252 0.704
Sr14 Sr 0.824 0.748 0.204
Mn1 Mn 0.222 0.417 0.816
Mn2 Mn 0.222 0.583 0.316
Mn3 Mn 0.425 0.418 0.610
Mn4 Mn 0.425 0.582 0.110
Mn5 Mn 0.577 0.083 0.460
Mn6 Mn 0.577 0.917 0.960
Mn7 Mn 0.782 0.080 0.255
Mn8 Mn 0.782 0.920 0.755
O1 O 0.027 0.000 0.244
O2 O 0.027 0.000 0.744
O3 O 0.161 0.332 0.652
O4 O 0.161 0.668 0.152
O5 O 0.162 0.267 0.915
O6 O 0.162 0.733 0.415
O7 O 0.317 0.475 0.452
O8 O 0.317 0.525 0.952
O9 O 0.323 0.425 0.199
O10 O 0.323 0.575 0.699
O11 O 0.338 0.004 0.489
O12 O 0.338 0.996 0.989
O13 O 0.494 0.348 0.779
O14 O 0.494 0.652 0.279
O15 O 0.498 0.253 0.530
O16 O 0.498 0.747 0.030
O17 O 0.509 0.149 0.288
O18 O 0.509 0.851 0.788
O19 O 0.665 0.497 0.583
O20 O 0.665 0.503 0.083
O21 O 0.681 0.075 0.873
O22 O 0.681 0.925 0.373
O23 O 0.684 0.030 0.619
O24 O 0.684 0.970 0.119
O25 O 0.841 0.167 0.417
O26 O 0.841 0.833 0.917
O27 O 0.843 0.230 0.156
O28 O 0.843 0.770 0.656
O29 O 0.976 0.498 0.827
O30 O 0.976 0.502 0.327

> Among the records above, which one has the highest calculated volume?

Sr32Mn32O79

> Number 5 is which compound?

SrMn7O12